[1]
VASP calculation (PBE) on an optimized crystal structure of Na3BiAsCO7.

Results
symmetry: P2_1/m
formation enthalpy at 0 K: -1.85 eV per atom
calculated density: 4.20 g cm⁻³
calculated total energy: -0.2138 hartree per atom

Cell: 7.4120 5.1665 9.8496 Å, 89.21 90.00 90.00°
With the nearest neighbours (Å) after each atom.
Fractional positions:
Na  0.7500  0.2349  0.9196  6 O 2.39-2.64
Na  0.9834  0.7460  0.7527  4 O 2.36-2.48
Na  0.5166  0.7460  0.7527  4 O 2.36-2.48
Na  0.4834  0.2540  0.2473  4 O 2.36-2.48
Na  0.0166  0.2540  0.2473  4 O 2.36-2.48
Na  0.2500  0.7651  0.0804  6 O 2.39-2.64
Bi  0.2500  0.2338  0.6539  5 O 2.23-2.48
Bi  0.7500  0.7662  0.3461  5 O 2.23-2.48
As  0.7500  0.2767  0.5978  3 O 1.78-1.82
As  0.2500  0.7233  0.4022  3 O 1.78-1.82
C  0.2500  0.2753  0.9524  3 O 1.30-1.31
C  0.7500  0.7247  0.0476  3 O 1.30-1.31
O  0.7500  0.7231  0.9160  1 C 1.30
O  0.2500  0.0544  0.8885  1 C 1.31
O  0.2500  0.4900  0.8825  1 C 1.30
O  0.9382  0.2174  0.7123  1 As 1.82
O  0.5618  0.2174  0.7123  1 As 1.82
O  0.7500  0.6209  0.5853  1 As 1.78
O  0.2500  0.8113  0.6109  1 As 2.11, 1 Bi 2.23
O  0.7500  0.1887  0.3891  1 As 2.11, 1 Bi 2.23
O  0.2500  0.3791  0.4147  1 As 1.78
O  0.4382  0.7826  0.2877  1 As 1.82
O  0.0618  0.7826  0.2877  1 As 1.82
O  0.7500  0.5100  0.1175  1 C 1.30
O  0.7500  0.9456  0.1115  1 C 1.31
O  0.2500  0.2769  0.0840  1 C 1.30


[2]
VASP calculation (PBE) on an optimized crystal structure of PrMnCu10.

Results
symmetry: Cmmm
formation enthalpy at 0 K: -0.03 eV per atom
calculated density: 8.25 g cm⁻³
calculated total energy: -0.1694 hartree per atom

Cell: 4.9220 8.2477 8.2477 Å, 89.89 90.00 90.00°
With the nearest neighbours (Å) after each atom.
Fractional positions:
Pr  0.0000  0.5000  0.5000  18 Cu 3.06-3.32, 2 Mn 3.30
Pr  0.0000  0.0000  0.0000  18 Cu 3.06-3.32, 2 Mn 3.30
Mn  0.0000  0.3830  0.1170  12 Cu 2.66-2.88, 1 Mn 2.73
Mn  0.0000  0.6170  0.8830  12 Cu 2.66-2.88, 1 Mn 2.73
Cu  0.5000  0.5649  0.7104  8 Cu 2.45-2.62
Cu  0.5000  0.4351  0.2896  8 Cu 2.45-2.62
Cu  0.5000  0.9351  0.2121  8 Cu 2.43-2.60
Cu  0.5000  0.0649  0.7879  8 Cu 2.43-2.60
Cu  0.5000  0.7121  0.4351  8 Cu 2.43-2.60
Cu  0.5000  0.2879  0.5649  8 Cu 2.43-2.60
Cu  0.5000  0.2104  0.0649  8 Cu 2.45-2.62
Cu  0.5000  0.7896  0.9351  8 Cu 2.45-2.62
Cu  0.7593  0.3208  0.8208  7 Cu 2.37-2.55
Cu  0.7593  0.6792  0.1792  7 Cu 2.37-2.55
Cu  0.7596  0.1782  0.3218  7 Cu 2.37-2.56
Cu  0.7596  0.8218  0.6782  7 Cu 2.37-2.56
Cu  0.2407  0.6792  0.1792  7 Cu 2.37-2.55
Cu  0.2407  0.3208  0.8208  7 Cu 2.37-2.55
Cu  0.2404  0.8218  0.6782  7 Cu 2.37-2.56
Cu  0.2404  0.1782  0.3218  7 Cu 2.37-2.56
Cu  0.5000  0.0000  0.5000  8 Cu 2.43-2.44
Cu  0.5000  0.5000  0.0000  8 Cu 2.45
Cu  0.0000  0.1144  0.6144  13 Cu 2.67-2.88
Cu  0.0000  0.8856  0.3856  13 Cu 2.67-2.88


[3]
VASP calculation (PBE) on an optimized crystal structure of UAs2.

Results
symmetry: P4/nmm
formation enthalpy at 0 K: -0.66 eV per atom
calculated density: 10.13 g cm⁻³
calculated total energy: -0.2767 hartree per atom

Cell: 3.9631 3.9631 8.0968 Å, 90.00 90.00 90.00°
With the nearest neighbours (Å) after each atom.
Fractional positions:
U  0.0000  0.5000  0.2836  9 As 2.87-3.03
U  0.5000  0.0000  0.7164  9 As 2.87-3.03
As  0.5000  0.5000  0.0000  4 As 2.80, 4 U 3.03
As  0.0000  0.0000  0.0000  4 As 2.80, 4 U 3.03
As  0.0000  0.5000  0.6424  5 U 2.87-2.90
As  0.5000  0.0000  0.3576  5 U 2.87-2.90


[4]
VASP calculation (PBE) on an optimized crystal structure of Tl3Sn.

Results
symmetry: P6_3/mmc
formation enthalpy at 0 K: 0.03 eV per atom
calculated density: 9.97 g cm⁻³
calculated total energy: -0.1008 hartree per atom

Cell: 7.0446 7.0446 5.6733 Å, 90.00 90.00 120.00°
With the nearest neighbours (Å) after each atom.
Fractional positions:
Tl  0.1705  0.3409  0.2500  8 Tl 3.44-3.60, 4 Sn 3.46-3.52
Tl  0.6591  0.8295  0.2500  8 Tl 3.44-3.60, 4 Sn 3.46-3.52
Tl  0.1705  0.8295  0.2500  8 Tl 3.44-3.60, 4 Sn 3.46-3.52
Tl  0.8295  0.6591  0.7500  8 Tl 3.44-3.60, 4 Sn 3.46-3.52
Tl  0.3409  0.1705  0.7500  8 Tl 3.44-3.60, 4 Sn 3.46-3.52
Tl  0.8295  0.1705  0.7500  8 Tl 3.44-3.60, 4 Sn 3.46-3.52
Sn  0.3333  0.6667  0.7500  12 Tl 3.46-3.52
Sn  0.6667  0.3333  0.2500  12 Tl 3.46-3.52


[5]
VASP calculation (PBE) on an optimized crystal structure of Er2MgGe2.

Results
symmetry: P4/mbm
formation enthalpy at 0 K: -0.76 eV per atom
calculated density: 7.62 g cm⁻³
calculated total energy: -0.1748 hartree per atom

Cell: 7.2153 7.2153 4.2227 Å, 90.00 90.00 90.00°
With the nearest neighbours (Å) after each atom.
Fractional positions:
Er  0.6772  0.1772  0.5000  6 Ge 2.93-3.06
Er  0.3228  0.8228  0.5000  6 Ge 2.93-3.06
Er  0.1772  0.3228  0.5000  6 Ge 2.93-3.06
Er  0.8228  0.6772  0.5000  6 Ge 2.93-3.06
Mg  0.5000  0.5000  0.0000  4 Ge 2.86
Mg  0.0000  0.0000  0.0000  4 Ge 2.86
Ge  0.8757  0.3757  0.0000  1 Ge 2.54
Ge  0.1243  0.6243  0.0000  1 Ge 2.54
Ge  0.3757  0.1243  0.0000  1 Ge 2.54
Ge  0.6243  0.8757  0.0000  1 Ge 2.54


[6]
VASP calculation (PBE) on an optimized crystal structure of Sr3Zr2O7.

Results
symmetry: I4/mmm
formation enthalpy at 0 K: -3.53 eV per atom
calculated density: 4.98 g cm⁻³
calculated total energy: -0.2888 hartree per atom

Cell: 10.9807 10.9807 10.9807 Å, 158.00 158.00 31.32°
With the nearest neighbours (Å) after each atom.
Fractional positions:
Sr  0.5000  0.5000  0.0000  12 O 2.95-2.96
Sr  0.6864  0.6864  0.0000  1 O 2.41
Sr  0.3136  0.3136  0.0000  1 O 2.41
Zr  0.8996  0.8996  0.0000  6 O 2.10-2.12
Zr  0.1004  0.1004  0.0000  6 O 2.10-2.12
O  0.4016  0.9016  0.5000  2 Zr 2.10
O  0.5984  0.0984  0.5000  2 Zr 2.10
O  0.9016  0.4016  0.5000  2 Zr 2.10
O  0.0984  0.5984  0.5000  2 Zr 2.10
O  0.8002  0.8002  0.0000  1 Zr 2.10
O  0.1998  0.1998  0.0000  1 Zr 2.10
O  0.0000  0.0000  0.0000  2 Zr 2.12